1.
! PaFe3 r2SCAN optimized geometry; values from VASP
! final energy = -119.29 eV/cell
! SG = P4/mmm
! V = 14.413 Å³/atom
&SYSTEM
  ibrav = 0, nat = 4, ntyp = 2
/
ATOMIC_SPECIES
Fe 55.84 Fe.upf
Pa 231.04 Pa.upf
ATOMIC_POSITIONS crystal
Fe 0.500 0.000 0.500
Pa 0.000 0.000 0.000
Fe 0.500 0.500 0.000
Fe 0.000 0.500 0.500
CELL_PARAMETERS angstrom
3.871 -0.002 0.000
-0.002 3.859 0.000
0.000 0.000 3.859

=====

2.
! NpSeO r2SCAN optimized geometry; values from VASP
! final energy = -222.83 eV/cell
! SG = P4/nmm
! V = 17.587 Å³/atom
&SYSTEM
  ibrav = 0, nat = 6, ntyp = 3
/
ATOMIC_SPECIES
Np 237.00 Np.upf
O 16.00 O.upf
Se 78.96 Se.upf
ATOMIC_POSITIONS crystal
Np 0.250 0.250 0.181
Np 0.750 0.750 0.819
O 0.250 0.750 0.000
Se 0.250 0.250 0.636
O 0.750 0.250 0.000
Se 0.750 0.750 0.364
CELL_PARAMETERS angstrom
-0.922 1.576 3.446
-3.771 -0.729 -0.676
0.660 -6.212 3.018